1.
Compound: CaSnS3O12
Source: Materials Project
Functional: PBE-GGA
Structure: optimized geometry

Cell and atoms, written as extended XYZ:
```
102
Lattice="9.0762 0.0000 0.0000 -4.5381 7.8602 0.0000 0.0000 0.0000 22.7125" Properties=species:S:1:pos:R:3 pbc="T T T"
Ca 0.0000 0.0000 8.2410
Ca 0.0000 0.0000 19.5972
Ca 4.5381 2.6201 15.8118
Ca 4.5381 2.6201 4.4556
Ca 0.0000 5.2401 0.6702
Ca 0.0000 5.2401 12.0264
Sn 0.0000 0.0000 14.7801
Sn 0.0000 0.0000 3.4239
Sn 4.5381 2.6201 22.3509
Sn 4.5381 2.6201 10.9947
Sn 0.0000 5.2401 7.2093
Sn 0.0000 5.2401 18.5655
S -1.9084 7.6300 5.6996
S 3.0239 5.6979 5.6996
S -1.1155 2.3924 5.6996
S 1.1155 2.3924 17.0559
S -3.0239 5.6979 17.0559
S 1.9084 7.6300 17.0559
S 7.1678 2.3899 13.2705
S 3.0239 0.4578 13.2705
S 3.4226 5.0125 13.2705
S 5.6536 5.0125 1.9142
S 6.0523 0.4578 1.9142
S 1.9084 2.3899 1.9142
S 2.6297 5.0100 20.8413
S -1.5142 3.0779 20.8413
S -1.1155 7.6326 20.8413
S 1.1155 7.6326 9.4851
S 1.5142 3.0779 9.4851
S -2.6297 5.0100 9.4851
O -2.7523 7.8360 6.8543
O 3.6242 6.3258 6.8543
O -0.8719 1.5587 6.8543
O 0.8719 1.5587 18.2105
O -3.6242 6.3258 18.2105
O 2.7523 7.8360 18.2105
O 2.7482 7.3682 15.7892
O 0.4688 1.7961 15.7892
O -3.2170 6.5561 15.7892
O 3.2170 6.5561 4.4329
O -0.4688 1.7961 4.4329
O -2.7482 7.3682 4.4329
O 6.3239 2.5958 14.4251
O 3.6242 1.0856 14.4251
O 3.6662 4.1787 14.4251
O 5.4100 4.1787 3.0688
O 5.4520 1.0856 3.0688
O 2.7523 2.5958 3.0688
O 2.7482 2.1280 0.6475
O 5.0069 4.4162 0.6475
O 5.8592 1.3160 0.6475
O 3.2170 1.3160 12.0038
O 4.0693 4.4162 12.0038
O 6.3280 2.1280 12.0038
O 1.7858 5.2159 21.9959
O -0.9139 3.7057 21.9959
O -0.8719 6.7988 21.9959
O 0.8719 6.7988 10.6397
O 0.9139 3.7057 10.6397
O -1.7858 5.2159 10.6397
O -1.7899 4.7481 8.2184
O 0.4688 7.0363 8.2184
O 1.3211 3.9361 8.2184
O -1.3211 3.9361 19.5746
O -0.4688 7.0363 19.5746
O 1.7899 4.7481 19.5746
O -3.5338 6.1275 9.2668
O 2.5354 7.8568 9.2668
O 0.9984 1.7361 9.2668
O -0.9984 1.7361 20.6231
O -2.5354 7.8568 20.6231
O 3.5338 6.1275 20.6231
O 7.9644 1.1050 13.3902
O 1.5129 0.4104 13.3902
O 4.1370 6.3448 13.3902
O 4.9392 6.3448 2.0340
O 7.5633 0.4104 2.0340
O 1.1118 1.1050 2.0340
O 5.5424 0.8874 16.8377
O 2.5354 2.6166 16.8377
O 5.5365 4.3562 16.8377
O 3.5397 4.3562 5.4814
O 6.5408 2.6166 5.4814
O 3.5338 0.8874 5.4814
O 3.4263 3.7251 20.9610
O 6.0510 3.0304 20.9610
O 4.1370 1.1047 20.9610
O 4.9392 1.1047 9.6048
O 3.0252 3.0304 9.6048
O 5.6499 3.7251 9.6048
O 1.0043 3.5074 1.6960
O -2.0027 5.2367 1.6960
O 0.9984 6.9763 1.6960
O -0.9984 6.9763 13.0523
O 2.0027 5.2367 13.0523
O -1.0043 3.5074 13.0523
O -1.1118 6.3452 5.8194
O 1.5129 5.6505 5.8194
O -0.4011 3.7248 5.8194
O 0.4011 3.7248 17.1756
O -1.5129 5.6505 17.1756
O 1.1118 6.3452 17.1756
```

Calculated values
The energy comes out at -6.216 eV/atom. For the total magnetization, the calculation gives 0.0 μB per formula unit. Its formation energy is -36.115 eV per formula unit.



2.
Compound: CdO
Source: Materials Project
Functional: PBE-GGA
Structure: optimized geometry

Cell and atoms, written as extended XYZ:
```
2
Lattice="0.0000 2.3918 2.3918 2.3918 0.0000 2.3918 2.3918 2.3918 0.0000" Properties=species:S:1:pos:R:3 pbc="T T T"
Cd 0.0000 0.0000 0.0000
O 2.3918 2.3918 2.3918
```

Calculated values
The energy comes out at -3.957 eV/atom. As for the symmetry: Fm-3m, No. 225. Its formation energy is -2.729 eV per formula unit.



3.
Compound: Er2InAg
Source: Materials Project
Functional: PBE-GGA
Structure: optimized geometry

Cell and atoms, written as extended XYZ:
```
4
Lattice="0.0000 3.6855 3.6855 3.6855 0.0000 3.6855 3.6855 3.6855 0.0000" Properties=species:S:1:pos:R:3 pbc="T T T"
Er 1.8427 1.8427 1.8427
Er 5.5282 5.5282 5.5282
In 0.0000 0.0000 0.0000
Ag 3.6855 3.6855 3.6855
```

Calculated values
The energy comes out at -4.078 eV/atom. As for the symmetry: Fm-3m, No. 225. Its formation energy is -1.593 eV per formula unit. Its relative energy among the computed polymorphs is 0.0 meV/atom.



4.
Compound: Li3SbP2O8
Source: Materials Project
Functional: PBE-GGA
Structure: optimized geometry

Cell and atoms, written as extended XYZ:
```
42
Lattice="4.7403 2.7368 6.3354 -4.7403 2.7368 6.3354 0.0000 -5.4736 6.3354" Properties=species:S:1:pos:R:3 pbc="T T T"
Li 0.0000 0.0000 0.0000
Li -1.0236 -3.1208 7.7755
Li 0.0000 0.0000 2.6934
Li -2.8733 -0.4906 10.7905
Li -2.1909 2.4468 7.7755
Li 0.0000 0.0000 9.2300
Li 1.8615 -2.2431 10.7905
Li 3.2144 0.6740 7.7755
Li 1.0118 2.7336 10.7905
Sb 0.0000 0.0000 6.3230
Sb 0.0000 0.0000 12.2234
Sb 0.0000 0.0000 15.7690
P -3.1431 0.0195 7.6129
P -1.5685 -2.7603 10.9177
P 1.5547 -2.7318 7.6129
P -1.6063 2.7385 10.9177
P 1.5884 2.7123 7.6129
P 3.1748 0.0218 10.9177
O -3.5143 -0.7586 8.8925
O -1.2226 -2.1964 5.9763
O -3.8064 1.4037 7.5661
O -3.1546 -2.5371 10.8843
O -1.0471 -3.5968 9.7646
O 0.6876 -3.9983 7.5661
O -1.5530 0.2008 7.7461
O -1.2908 2.1570 5.9763
O 0.6026 -1.4453 7.7461
O -0.9585 -1.2756 10.7456
O -2.5914 2.7052 9.7646
O -2.3625 0.0540 12.6440
O 2.4141 -2.6642 8.8926
O 2.5134 0.0394 5.9763
O 0.9504 1.2446 7.7461
O -0.6255 1.4679 10.7456
O 1.1345 -2.0729 12.6440
O 1.5840 -0.1923 10.7456
O -0.6199 4.0006 10.8843
O 1.1002 3.4228 8.8926
O 3.7745 -1.4634 10.8843
O 3.1188 2.5946 7.5661
O 1.2280 2.0190 12.6440
O 3.6385 0.8916 9.7646
```

Calculated values
The energy comes out at -6.407 eV/atom. For the total magnetization, the calculation gives 0.0 μB per formula unit. As for the symmetry: R3, No. 146. Its formation energy is -34.925 eV per formula unit. Its relative energy among the computed polymorphs is 27.7 meV/atom.



5.
Compound: Na3Mg4ScSi8O22F2
Source: Materials Project
Functional: PBE-GGA
Structure: optimized geometry

Cell and atoms, written as extended XYZ:
```
40
Lattice="5.3610 0.0000 0.0000 2.2616 9.6829 0.0000 1.1302 4.8377 9.1228" Properties=species:S:1:pos:R:3 pbc="T T T"
Na 0.0000 0.0000 0.0000
Na 1.1298 4.8371 0.9257
Na 3.4891 5.1184 5.0766
Mg 2.2622 9.6845 6.7174
Mg 2.2625 9.6840 3.4942
Mg 4.9431 9.6811 8.3957
Mg 4.9450 9.6813 5.1135
Sc 4.9434 9.6862 1.7405
Si 1.7785 2.7315 3.5526
Si 4.0458 12.4024 6.6205
Si 3.1800 6.9200 8.1453
Si 3.1742 6.8838 1.9653
Si 4.4469 2.8097 1.9780
Si 6.7040 12.4487 8.1379
Si 5.8374 6.9552 6.6147
Si 5.8416 6.9467 3.5494
O 1.8674 6.3452 7.2475
O 1.8805 6.3650 2.9263
O 1.8817 3.3362 5.0844
O 3.1945 8.5298 2.0413
O 3.2064 8.5326 8.1037
O 4.0446 10.7817 6.5962
O 4.0508 10.7768 3.5479
O 3.0356 6.2029 0.5417
O 1.9199 1.3368 0.4536
O 5.3590 13.0653 7.3540
O 3.0937 3.3612 2.8062
O 4.5249 6.3277 2.7975
O 4.5201 6.3024 7.3500
O 5.6922 8.3513 0.4554
O 4.5715 3.4814 0.5464
O 5.8350 8.5821 3.5411
O 5.8427 8.5737 6.5990
O 6.6693 10.8333 8.1006
O 4.4201 1.1589 2.0496
O 5.7235 6.3390 5.0791
O 5.7634 3.3140 2.8954
O 8.0375 13.0112 7.2853
F 3.1519 8.6855 5.0736
F 6.7431 10.6471 5.0768
```

Calculated values
The energy comes out at -7.167 eV/atom. For the total magnetization, the calculation gives 0.0 μB per formula unit. As for the symmetry: P1, No. 1. Its formation energy is -129.940 eV per formula unit.



6.
Compound: Sr3Th
Source: Materials Project
Functional: PBE-GGA
Structure: optimized geometry

Cell and atoms, written as extended XYZ:
```
4
Lattice="0.0000 4.4848 4.4848 4.4848 0.0000 4.4848 4.4848 4.4848 0.0000" Properties=species:S:1:pos:R:3 pbc="T T T"
Sr 0.0000 0.0000 0.0000
Sr 2.2424 2.2424 2.2424
Sr 6.7271 6.7271 6.7271
Th 4.4848 4.4848 4.4848
```

Calculated values
The energy comes out at -2.718 eV/atom. For the total magnetization, the calculation gives 0.0 μB per formula unit. As for the symmetry: Fm-3m, No. 225. Its formation energy is 1.612 eV per formula unit.



What is the energy in the sixth record? -2.718 eV/atom